Record 1
Computed, not measured: an optimized crystal structure of Tm3Al12Ru4 at the PBE-GGA level of DFT.

POSCAR file:
```
Tm3Al12Ru4
1.0
8.777 0.000 0.000
-4.388 7.601 0.000
0.000 0.000 9.560
Tm Al Ru
6 24 8
Direct
0.194 0.389 0.250
0.194 0.806 0.250
0.389 0.194 0.750
0.611 0.806 0.250
0.806 0.194 0.750
0.806 0.611 0.750
0.000 0.000 0.250
0.000 0.000 0.750
0.121 0.561 0.750
0.162 0.324 0.578
0.162 0.324 0.922
0.162 0.838 0.578
0.162 0.838 0.922
0.324 0.162 0.078
0.324 0.162 0.422
0.333 0.667 0.016
0.333 0.667 0.484
0.439 0.561 0.750
0.439 0.879 0.750
0.561 0.121 0.250
0.561 0.439 0.250
0.667 0.333 0.516
0.667 0.333 0.984
0.676 0.838 0.578
0.676 0.838 0.922
0.838 0.162 0.078
0.838 0.162 0.422
0.838 0.676 0.078
0.838 0.676 0.422
0.879 0.439 0.250
0.000 0.000 0.000
0.000 0.000 0.500
0.000 0.500 0.000
0.000 0.500 0.500
0.500 0.000 0.000
0.500 0.000 0.500
0.500 0.500 0.000
0.500 0.500 0.500
```

Its space group is P6_3/mmc. The total DFT energy (no corrections) is -215.87 eV/cell.

---

Record 2
Computed, not measured: an optimized crystal structure of UAl10Ru2 at the PBE-GGA level of DFT.

POSCAR file:
```
UAl10Ru2
1.0
4.501 -5.131 0.000
4.501 5.131 0.000
0.000 0.000 9.094
U Al Ru
2 20 4
Direct
0.124 0.876 0.750
0.876 0.124 0.250
0.142 0.410 0.750
0.155 0.845 0.101
0.155 0.845 0.399
0.220 0.480 0.250
0.224 0.224 0.000
0.224 0.224 0.500
0.377 0.623 0.549
0.377 0.623 0.951
0.410 0.142 0.250
0.480 0.220 0.750
0.520 0.780 0.250
0.590 0.858 0.750
0.623 0.377 0.049
0.623 0.377 0.451
0.776 0.776 0.000
0.776 0.776 0.500
0.780 0.520 0.750
0.845 0.155 0.601
0.845 0.155 0.899
0.858 0.590 0.250
0.000 0.500 0.000
0.000 0.500 0.500
0.500 0.000 0.000
0.500 0.000 0.500
```

Its space group is Cmcm. The total DFT energy (no corrections) is -145.32 eV/cell.

---

Record 3
Computed, not measured: an optimized crystal structure of UAlRu at the PBE-GGA level of DFT.

POSCAR file:
```
UAlRu
1.0
6.742 0.000 0.000
-3.371 5.839 0.000
0.000 0.000 4.207
U Al Ru
3 3 3
Direct
0.000 0.425 0.000
0.425 0.000 0.000
0.575 0.575 0.000
0.000 0.766 0.500
0.234 0.234 0.500
0.766 0.000 0.500
0.000 0.000 0.000
0.333 0.667 0.500
0.667 0.333 0.500
```

Its space group is P-62m. The total DFT energy (no corrections) is -76.37 eV/cell.

---

Record 4
Computed, not measured: an optimized crystal structure of YAl10Ru2 at the PBE-GGA level of DFT.

POSCAR file:
```
YAl10Ru2
1.0
4.548 -5.126 0.000
4.548 5.126 0.000
0.000 0.000 9.147
Y Al Ru
2 20 4
Direct
0.126 0.874 0.750
0.874 0.126 0.250
0.139 0.414 0.750
0.156 0.844 0.099
0.156 0.844 0.401
0.223 0.479 0.250
0.227 0.227 0.000
0.227 0.227 0.500
0.377 0.623 0.549
0.377 0.623 0.951
0.414 0.139 0.250
0.479 0.223 0.750
0.521 0.777 0.250
0.586 0.861 0.750
0.623 0.377 0.049
0.623 0.377 0.451
0.773 0.773 0.000
0.773 0.773 0.500
0.777 0.521 0.750
0.844 0.156 0.599
0.844 0.156 0.901
0.861 0.586 0.250
0.000 0.500 0.000
0.000 0.500 0.500
0.500 0.000 0.000
0.500 0.000 0.500
```

Its space group is Cmcm. The total DFT energy (no corrections) is -138.44 eV/cell.

---

Record 5
Computed, not measured: an optimized crystal structure of Zr6Al16Ru7 at the PBE-GGA level of DFT.

POSCAR file:
```
Zr6Al16Ru7
1.0
0.000 6.186 6.186
6.186 0.000 6.186
6.186 6.186 0.000
Zr Al Ru
6 16 7
Direct
0.204 0.204 0.796
0.204 0.796 0.204
0.204 0.796 0.796
0.796 0.204 0.204
0.796 0.204 0.796
0.796 0.796 0.204
0.142 0.619 0.619
0.163 0.163 0.163
0.163 0.163 0.510
0.163 0.510 0.163
0.381 0.381 0.381
0.381 0.381 0.858
0.381 0.858 0.381
0.490 0.837 0.837
0.510 0.163 0.163
0.619 0.142 0.619
0.619 0.619 0.142
0.619 0.619 0.619
0.837 0.490 0.837
0.837 0.837 0.490
0.837 0.837 0.837
0.858 0.381 0.381
0.000 0.000 0.500
0.000 0.500 0.000
0.000 0.500 0.500
0.500 0.000 0.000
0.500 0.000 0.500
0.500 0.500 0.000
0.500 0.500 0.500
```

Its space group is Fm-3m. The total DFT energy (no corrections) is -194.88 eV/cell.

---

Record 6
Computed, not measured: an optimized crystal structure of Al2S3 at the PBE-GGA level of DFT.

POSCAR file:
```
Al2S3
1.0
3.041 1.756 5.485
-3.041 1.756 5.485
0.000 -3.512 5.485
Al S
4 6
Direct
0.151 0.151 0.151
0.349 0.349 0.349
0.651 0.651 0.651
0.849 0.849 0.849
0.055 0.750 0.445
0.250 0.555 0.945
0.445 0.055 0.750
0.555 0.945 0.250
0.750 0.445 0.055
0.945 0.250 0.555
```

Its space group is R-3c. The total DFT energy (no corrections) is -49.96 eV/cell.